(1)
Computed, not measured: a relaxed structure of K5Na3Mo4O16 at the GGA+U level of DFT.

Cell lengths 6.120, 6.121, 15.351 Å; angles 90.30, 90.06, 119.95 degrees
Space group P1 (No. 1)
Asymmetric unit:
K1 0.000 0.000 0.000 [1 per cell]
K2 0.048 0.049 0.501 [1 per cell]
K3 0.385 0.711 0.168 [1 per cell]
K4 0.638 0.301 0.833 [1 per cell]
K5 0.747 0.410 0.334 [1 per cell]
Na1 0.343 0.671 0.675 [1 per cell]
Na2 0.692 0.355 0.084 [1 per cell]
Na3 0.693 0.356 0.585 [1 per cell]
Mo1 0.000 0.996 0.723 [1 per cell]
Mo2 0.052 0.047 0.223 [1 per cell]
Mo3 0.333 0.664 0.942 [1 per cell]
Mo4 0.384 0.715 0.447 [1 per cell]
O1 0.001 0.509 0.965 [1 per cell]
O2 0.060 0.075 0.836 [1 per cell]
O3 0.089 0.572 0.505 [1 per cell]
O4 0.299 0.142 0.666 [1 per cell]
O5 0.323 0.635 0.333 [1 per cell]
O6 0.386 0.203 0.204 [1 per cell]
O7 0.405 0.718 0.828 [1 per cell]
O8 0.460 0.484 0.991 [1 per cell]
O9 0.477 0.961 0.000 [1 per cell]
O10 0.541 0.050 0.465 [1 per cell]
O11 0.568 0.588 0.493 [1 per cell]
O12 0.813 0.118 0.676 [1 per cell]
O13 0.846 0.661 0.703 [1 per cell]
O14 0.907 0.748 0.166 [1 per cell]
O15 0.924 0.229 0.176 [1 per cell]
O16 0.973 0.988 0.336 [1 per cell]

***

(2)
Computed, not measured: a relaxed structure of K2Na6V5Mo3O24 at the GGA+U level of DFT.

Cell lengths 7.746, 7.747, 7.750 Å; angles 90.00, 90.04, 90.00 degrees
Space group P2 (No. 3)
Asymmetric unit:
K1 0.241 0.000 0.252 [2 per cell]
Na1 0.234 0.505 0.254 [2 per cell]
Na2 0.234 0.505 0.746 [2 per cell]
Na3 0.234 0.998 0.746 [2 per cell]
V1 0.000 0.252 0.000 [1 per cell]
V2 0.000 0.255 0.500 [1 per cell]
V3 0.000 0.747 0.000 [1 per cell]
V4 0.000 0.751 0.500 [1 per cell]
V5 0.500 0.750 0.500 [1 per cell]
Mo1 0.500 0.253 0.000 [1 per cell]
Mo2 0.500 0.254 0.500 [1 per cell]
Mo3 0.500 0.750 0.000 [1 per cell]
O1 0.000 0.009 0.000 [1 per cell]
O2 0.000 0.499 0.000 [1 per cell]
O3 0.000 0.502 0.500 [1 per cell]
O4 0.000 0.999 0.500 [1 per cell]
O5 0.002 0.747 0.745 [2 per cell]
O6 0.003 0.257 0.758 [2 per cell]
O7 0.251 0.748 0.999 [2 per cell]
O8 0.252 0.256 0.502 [2 per cell]
O9 0.254 0.255 0.999 [2 per cell]
O10 0.255 0.747 0.502 [2 per cell]
O11 0.499 0.748 0.755 [2 per cell]
O12 0.500 0.003 0.000 [1 per cell]
O13 0.500 0.007 0.500 [1 per cell]
O14 0.500 0.255 0.248 [2 per cell]
O15 0.500 0.498 0.500 [1 per cell]
O16 0.500 0.500 0.000 [1 per cell]

***

(3)
Computed, not measured: a relaxed structure of KNa7V6Mo2O20 at the GGA+U level of DFT.

Cell lengths 11.109, 11.445, 16.608 Å; angles 110.15, 109.01, 90.08 degrees
Space group P1 (No. 1)
Asymmetric unit:
K1 0.000 0.000 0.000 [1 per cell]
K2 0.249 0.725 0.000 [1 per cell]
K3 0.500 0.994 0.999 [1 per cell]
K4 0.750 0.723 0.000 [1 per cell]
Na1 0.132 0.132 0.766 [1 per cell]
Na2 0.134 0.636 0.766 [1 per cell]
Na3 0.143 0.142 0.279 [1 per cell]
Na4 0.143 0.636 0.278 [1 per cell]
Na5 0.244 0.217 0.991 [1 per cell]
Na6 0.245 0.213 0.485 [1 per cell]
Na7 0.246 0.711 0.486 [1 per cell]
Na8 0.387 0.852 0.767 [1 per cell]
Na9 0.389 0.352 0.767 [1 per cell]
Na10 0.390 0.862 0.279 [1 per cell]
Na11 0.392 0.362 0.278 [1 per cell]
Na12 0.494 0.998 0.487 [1 per cell]
Na13 0.495 0.494 0.486 [1 per cell]
Na14 0.499 0.494 0.990 [1 per cell]
Na15 0.635 0.635 0.767 [1 per cell]
Na16 0.641 0.140 0.278 [1 per cell]
Na17 0.643 0.133 0.769 [1 per cell]
Na18 0.645 0.635 0.278 [1 per cell]
Na19 0.743 0.215 0.486 [1 per cell]
Na20 0.748 0.711 0.486 [1 per cell]
Na21 0.753 0.215 0.990 [1 per cell]
Na22 0.885 0.856 0.767 [1 per cell]
Na23 0.887 0.351 0.767 [1 per cell]
Na24 0.896 0.360 0.278 [1 per cell]
Na25 0.896 0.855 0.278 [1 per cell]
Na26 0.997 0.492 0.485 [1 per cell]
Na27 0.997 0.494 0.991 [1 per cell]
Na28 0.999 0.993 0.486 [1 per cell]
V1 0.043 0.836 0.625 [1 per cell]
V2 0.044 0.335 0.628 [1 per cell]
V3 0.048 0.342 0.133 [1 per cell]
V4 0.056 0.837 0.138 [1 per cell]
V5 0.194 0.420 0.381 [1 per cell]
V6 0.196 0.921 0.382 [1 per cell]
V7 0.294 0.509 0.625 [1 per cell]
V8 0.295 0.012 0.628 [1 per cell]
V9 0.297 0.512 0.133 [1 per cell]
V10 0.306 0.023 0.138 [1 per cell]
V11 0.448 0.178 0.381 [1 per cell]
V12 0.448 0.677 0.380 [1 per cell]
V13 0.544 0.837 0.626 [1 per cell]
V14 0.545 0.336 0.628 [1 per cell]
V15 0.547 0.342 0.133 [1 per cell]
V16 0.555 0.837 0.138 [1 per cell]
V17 0.696 0.422 0.381 [1 per cell]
V18 0.794 0.511 0.627 [1 per cell]
V19 0.796 0.014 0.630 [1 per cell]
V20 0.799 0.511 0.134 [1 per cell]
V21 0.806 0.022 0.138 [1 per cell]
V22 0.945 0.174 0.877 [1 per cell]
V23 0.949 0.178 0.381 [1 per cell]
V24 0.949 0.674 0.381 [1 per cell]
Mo1 0.192 0.926 0.875 [1 per cell]
Mo2 0.195 0.421 0.877 [1 per cell]
Mo3 0.444 0.672 0.875 [1 per cell]
Mo4 0.447 0.174 0.877 [1 per cell]
Mo5 0.696 0.925 0.875 [1 per cell]
Mo6 0.699 0.421 0.877 [1 per cell]
Mo7 0.702 0.927 0.381 [1 per cell]
Mo8 0.944 0.673 0.875 [1 per cell]
O1 0.017 0.721 0.024 [1 per cell]
O2 0.025 0.216 0.523 [1 per cell]
O3 0.025 0.232 0.021 [1 per cell]
O4 0.028 0.714 0.521 [1 per cell]
O5 0.062 0.056 0.866 [1 per cell]
O6 0.062 0.538 0.860 [1 per cell]
O7 0.072 0.808 0.886 [1 per cell]
O8 0.077 0.796 0.391 [1 per cell]
O9 0.079 0.030 0.370 [1 per cell]
O10 0.080 0.307 0.395 [1 per cell]
O11 0.080 0.536 0.369 [1 per cell]
O12 0.081 0.309 0.888 [1 per cell]
O13 0.127 0.479 0.628 [1 per cell]
O14 0.127 0.981 0.627 [1 per cell]
O15 0.128 0.823 0.732 [1 per cell]
O16 0.130 0.489 0.135 [1 per cell]
O17 0.133 0.320 0.736 [1 per cell]
O18 0.134 0.324 0.237 [1 per cell]
O19 0.139 0.817 0.242 [1 per cell]
O20 0.148 0.980 0.147 [1 per cell]
O21 0.267 0.024 0.024 [1 per cell]
O22 0.270 0.513 0.021 [1 per cell]
O23 0.275 0.025 0.521 [1 per cell]
O24 0.275 0.526 0.521 [1 per cell]
O25 0.310 0.535 0.864 [1 per cell]
O26 0.311 0.043 0.861 [1 per cell]
O27 0.320 0.800 0.884 [1 per cell]
O28 0.324 0.318 0.391 [1 per cell]
O29 0.325 0.062 0.371 [1 per cell]
O30 0.327 0.817 0.393 [1 per cell]
O31 0.330 0.559 0.368 [1 per cell]
O32 0.332 0.309 0.895 [1 per cell]
O33 0.377 0.367 0.627 [1 per cell]
O34 0.378 0.869 0.628 [1 per cell]
O35 0.379 0.369 0.134 [1 per cell]
O36 0.380 0.631 0.732 [1 per cell]
O37 0.381 0.136 0.734 [1 per cell]
O38 0.385 0.635 0.237 [1 per cell]
O39 0.388 0.147 0.241 [1 per cell]
O40 0.398 0.888 0.147 [1 per cell]
O41 0.516 0.720 0.024 [1 per cell]
O42 0.525 0.218 0.521 [1 per cell]
O43 0.525 0.717 0.520 [1 per cell]
O44 0.526 0.227 0.023 [1 per cell]
O45 0.560 0.535 0.861 [1 per cell]
O46 0.562 0.039 0.859 [1 per cell]
O47 0.565 0.043 0.365 [1 per cell]
O48 0.573 0.304 0.394 [1 per cell]
O49 0.573 0.799 0.391 [1 per cell]
O50 0.574 0.803 0.887 [1 per cell]
O51 0.580 0.538 0.370 [1 per cell]
O52 0.583 0.305 0.893 [1 per cell]
O53 0.627 0.982 0.628 [1 per cell]
O54 0.628 0.480 0.628 [1 per cell]
O55 0.630 0.487 0.134 [1 per cell]
O56 0.631 0.317 0.734 [1 per cell]
O57 0.632 0.325 0.238 [1 per cell]
O58 0.632 0.820 0.731 [1 per cell]
O59 0.642 0.812 0.239 [1 per cell]
O60 0.649 0.980 0.146 [1 per cell]
O61 0.768 0.025 0.025 [1 per cell]
O62 0.775 0.033 0.525 [1 per cell]
O63 0.775 0.524 0.521 [1 per cell]
O64 0.779 0.514 0.023 [1 per cell]
O65 0.814 0.046 0.860 [1 per cell]
O66 0.814 0.537 0.860 [1 per cell]
O67 0.819 0.315 0.391 [1 per cell]
O68 0.822 0.046 0.369 [1 per cell]
O69 0.824 0.804 0.887 [1 per cell]
O70 0.832 0.552 0.369 [1 per cell]
O71 0.835 0.807 0.399 [1 per cell]
O72 0.837 0.299 0.888 [1 per cell]
O73 0.878 0.368 0.628 [1 per cell]
O74 0.878 0.869 0.628 [1 per cell]
O75 0.880 0.367 0.134 [1 per cell]
O76 0.882 0.634 0.732 [1 per cell]
O77 0.885 0.134 0.736 [1 per cell]
O78 0.886 0.632 0.238 [1 per cell]
O79 0.890 0.145 0.242 [1 per cell]
O80 0.899 0.887 0.147 [1 per cell]

***

(4)
Computed, not measured: a relaxed structure of KNa3V2Mo2O12 at the GGA+U level of DFT.

Cell lengths 11.015, 11.035, 7.847 Å; angles 90.00, 90.00, 90.00 degrees
Space group Cmm2 (No. 35)
Asymmetric unit:
K1 0.246 0.000 0.000 [4 per cell]
Na1 0.000 0.237 0.988 [4 per cell]
Na2 0.000 0.238 0.525 [4 per cell]
Na3 0.238 0.000 0.525 [4 per cell]
V1 0.000 0.000 0.279 [2 per cell]
V2 0.000 0.000 0.772 [2 per cell]
V3 0.250 0.250 0.754 [4 per cell]
Mo1 0.000 0.500 0.257 [2 per cell]
Mo2 0.000 0.500 0.753 [2 per cell]
Mo3 0.250 0.250 0.258 [4 per cell]
O1 0.000 0.000 0.502 [2 per cell]
O2 0.000 0.000 0.994 [2 per cell]
O3 0.000 0.500 0.011 [2 per cell]
O4 0.000 0.500 0.501 [2 per cell]
O5 0.122 0.377 0.753 [8 per cell]
O6 0.123 0.377 0.258 [8 per cell]
O7 0.125 0.127 0.257 [8 per cell]
O8 0.129 0.131 0.749 [8 per cell]
O9 0.250 0.250 0.013 [4 per cell]
O10 0.250 0.250 0.498 [4 per cell]

***

(5)
Computed, not measured: a relaxed structure of KNa3V2Mo2O10 at the GGA+U level of DFT.

Cell lengths 11.332, 11.663, 16.734 Å; angles 110.20, 109.16, 90.02 degrees
Space group P1 (No. 1)
Asymmetric unit:
K1 0.000 0.000 0.000 [1 per cell]
K2 0.000 0.499 0.000 [1 per cell]
K3 0.250 0.273 0.999 [1 per cell]
K4 0.251 0.773 0.999 [1 per cell]
K5 0.372 0.868 0.239 [1 per cell]
K6 0.502 0.499 0.999 [1 per cell]
K7 0.752 0.274 0.000 [1 per cell]
K8 0.752 0.774 0.999 [1 per cell]
Na1 0.002 0.499 0.507 [1 per cell]
Na2 0.002 0.999 0.508 [1 per cell]
Na3 0.107 0.136 0.720 [1 per cell]
Na4 0.108 0.637 0.720 [1 per cell]
Na5 0.111 0.141 0.228 [1 per cell]
Na6 0.112 0.641 0.228 [1 per cell]
Na7 0.252 0.282 0.508 [1 per cell]
Na8 0.252 0.781 0.508 [1 per cell]
Na9 0.358 0.356 0.721 [1 per cell]
Na10 0.359 0.858 0.722 [1 per cell]
Na11 0.361 0.359 0.228 [1 per cell]
Na12 0.502 0.004 0.010 [1 per cell]
Na13 0.503 0.000 0.510 [1 per cell]
Na14 0.503 0.500 0.509 [1 per cell]
Na15 0.607 0.636 0.720 [1 per cell]
Na16 0.608 0.136 0.720 [1 per cell]
Na17 0.610 0.140 0.227 [1 per cell]
Na18 0.611 0.641 0.227 [1 per cell]
Na19 0.752 0.282 0.508 [1 per cell]
Na20 0.752 0.782 0.507 [1 per cell]
Na21 0.857 0.356 0.720 [1 per cell]
Na22 0.857 0.857 0.720 [1 per cell]
Na23 0.861 0.860 0.228 [1 per cell]
Na24 0.862 0.359 0.228 [1 per cell]
V1 0.196 0.480 0.859 [1 per cell]
V2 0.201 0.979 0.861 [1 per cell]
V3 0.203 0.989 0.373 [1 per cell]
V4 0.206 0.485 0.370 [1 per cell]
V5 0.446 0.658 0.859 [1 per cell]
V6 0.448 0.151 0.862 [1 per cell]
V7 0.457 0.163 0.373 [1 per cell]
V8 0.458 0.653 0.370 [1 per cell]
V9 0.694 0.979 0.859 [1 per cell]
V10 0.696 0.480 0.859 [1 per cell]
V11 0.707 0.484 0.369 [1 per cell]
V12 0.708 0.985 0.369 [1 per cell]
V13 0.945 0.653 0.859 [1 per cell]
V14 0.947 0.151 0.859 [1 per cell]
V15 0.954 0.159 0.369 [1 per cell]
V16 0.957 0.657 0.370 [1 per cell]
Mo1 0.050 0.319 0.615 [1 per cell]
Mo2 0.051 0.819 0.616 [1 per cell]
Mo3 0.058 0.323 0.124 [1 per cell]
Mo4 0.058 0.823 0.123 [1 per cell]
Mo5 0.300 0.070 0.617 [1 per cell]
Mo6 0.300 0.570 0.615 [1 per cell]
Mo7 0.307 0.073 0.121 [1 per cell]
Mo8 0.308 0.571 0.122 [1 per cell]
Mo9 0.550 0.818 0.615 [1 per cell]
Mo10 0.551 0.320 0.616 [1 per cell]
Mo11 0.557 0.321 0.122 [1 per cell]
Mo12 0.558 0.822 0.120 [1 per cell]
Mo13 0.800 0.070 0.615 [1 per cell]
Mo14 0.800 0.570 0.616 [1 per cell]
Mo15 0.806 0.073 0.122 [1 per cell]
Mo16 0.808 0.574 0.124 [1 per cell]
O1 0.100 0.607 0.849 [1 per cell]
O2 0.104 0.107 0.850 [1 per cell]
O3 0.115 0.351 0.759 [1 per cell]
O4 0.118 0.127 0.369 [1 per cell]
O5 0.120 0.851 0.760 [1 per cell]
O6 0.121 0.624 0.369 [1 per cell]
O7 0.122 0.363 0.266 [1 per cell]
O8 0.127 0.867 0.267 [1 per cell]
O9 0.166 0.685 0.597 [1 per cell]
O10 0.167 0.186 0.599 [1 per cell]
O11 0.177 0.691 0.112 [1 per cell]
O12 0.179 0.194 0.114 [1 per cell]
O13 0.183 0.453 0.633 [1 per cell]
O14 0.184 0.953 0.634 [1 per cell]
O15 0.187 0.955 0.135 [1 per cell]
O16 0.189 0.454 0.137 [1 per cell]
O17 0.221 0.965 0.475 [1 per cell]
O18 0.225 0.464 0.473 [1 per cell]
O19 0.231 0.985 0.974 [1 per cell]
O20 0.233 0.485 0.972 [1 per cell]
O21 0.352 0.519 0.851 [1 per cell]
O22 0.362 0.177 0.761 [1 per cell]
O23 0.363 0.682 0.758 [1 per cell]
O24 0.365 0.011 0.861 [1 per cell]
O25 0.369 0.036 0.383 [1 per cell]
O26 0.371 0.663 0.265 [1 per cell]
O27 0.372 0.514 0.371 [1 per cell]
O28 0.375 0.172 0.265 [1 per cell]
O29 0.416 0.685 0.597 [1 per cell]
O30 0.417 0.186 0.600 [1 per cell]
O31 0.427 0.190 0.109 [1 per cell]
O32 0.429 0.689 0.109 [1 per cell]
O33 0.433 0.453 0.633 [1 per cell]
O34 0.433 0.952 0.632 [1 per cell]
O35 0.439 0.453 0.137 [1 per cell]
O36 0.439 0.955 0.130 [1 per cell]
O37 0.476 0.781 0.472 [1 per cell]
O38 0.480 0.289 0.475 [1 per cell]
O39 0.485 0.264 0.973 [1 per cell]
O40 0.485 0.772 0.971 [1 per cell]
O41 0.600 0.608 0.850 [1 per cell]
O42 0.603 0.110 0.849 [1 per cell]
O43 0.612 0.850 0.759 [1 per cell]
O44 0.613 0.351 0.760 [1 per cell]
O45 0.619 0.122 0.369 [1 per cell]
O46 0.622 0.623 0.369 [1 per cell]
O47 0.623 0.361 0.265 [1 per cell]
O48 0.626 0.864 0.264 [1 per cell]
O49 0.666 0.186 0.598 [1 per cell]
O50 0.666 0.685 0.597 [1 per cell]
O51 0.673 0.189 0.108 [1 per cell]
O52 0.678 0.693 0.112 [1 per cell]
O53 0.683 0.953 0.632 [1 per cell]
O54 0.684 0.453 0.634 [1 per cell]
O55 0.688 0.956 0.135 [1 per cell]
O56 0.690 0.455 0.139 [1 per cell]
O57 0.726 0.964 0.472 [1 per cell]
O58 0.727 0.465 0.473 [1 per cell]
O59 0.730 0.986 0.973 [1 per cell]
O60 0.735 0.487 0.974 [1 per cell]
O61 0.850 0.014 0.850 [1 per cell]
O62 0.851 0.514 0.849 [1 per cell]
O63 0.863 0.682 0.759 [1 per cell]
O64 0.865 0.181 0.759 [1 per cell]
O65 0.868 0.176 0.265 [1 per cell]
O66 0.871 0.518 0.369 [1 per cell]
O67 0.872 0.019 0.369 [1 per cell]
O68 0.872 0.676 0.266 [1 per cell]
O69 0.917 0.185 0.598 [1 per cell]
O70 0.917 0.685 0.599 [1 per cell]
O71 0.928 0.193 0.114 [1 per cell]
O72 0.929 0.693 0.115 [1 per cell]
O73 0.933 0.453 0.632 [1 per cell]
O74 0.933 0.953 0.632 [1 per cell]
O75 0.940 0.456 0.139 [1 per cell]
O76 0.940 0.956 0.139 [1 per cell]
O77 0.975 0.282 0.473 [1 per cell]
O78 0.977 0.781 0.473 [1 per cell]
O79 0.983 0.760 0.973 [1 per cell]
O80 0.985 0.259 0.973 [1 per cell]

***

Uncorrected energy: -0.4443, -0.4764, -0.4774, -0.4767, -0.4701 (Ry/atom)
ΔE_f: -2.178, -2.176, -2.184, -2.172, -2.077 (eV per atom)
Total magnetization: 0.00, 3.00, 7.46, 2.00, 4.99 (μB per formula unit)